# Na6ZnSi2Ge3P4O24

A relaxed Na6ZnSi2Ge3P4O24 crystal (PBE, the Materials Project database).

Cell: 8.731 8.736 21.606 Å, 90.00 89.70 60.11°
Space group P1 (No. 1)
Inequivalent atoms, fractional coordinates:
Na 0.000 0.000 0.000 [1 per cell]
Na 0.000 0.683 0.913 [1 per cell]
Na 0.034 0.967 0.506 [1 per cell]
Na 0.036 0.337 0.746 [1 per cell]
Na 0.070 0.270 0.084 [1 per cell]
Na 0.311 0.666 0.085 [1 per cell]
Na 0.326 0.011 0.589 [1 per cell]
Na 0.365 0.309 0.166 [1 per cell]
Na 0.366 0.313 0.669 [1 per cell]
Na 0.368 0.948 0.913 [1 per cell]
Na 0.381 0.687 0.414 [1 per cell]
Na 0.386 0.627 0.751 [1 per cell]
Na 0.673 0.342 0.243 [1 per cell]
Na 0.699 0.651 0.832 [1 per cell]
Na 0.700 0.658 0.331 [1 per cell]
Na 0.712 0.282 0.587 [1 per cell]
Na 0.736 0.940 0.419 [1 per cell]
Na 0.982 0.330 0.418 [1 per cell]
Zn 0.027 0.979 0.149 [1 per cell]
Zn 0.034 0.984 0.654 [1 per cell]
Zn 0.697 0.649 0.479 [1 per cell]
Si 0.077 0.315 0.916 [1 per cell]
Si 0.323 0.693 0.245 [1 per cell]
Si 0.331 0.987 0.747 [1 per cell]
Si 0.368 0.600 0.915 [1 per cell]
Si 0.657 0.033 0.916 [1 per cell]
Si 0.657 0.309 0.412 [1 per cell]
Ge 0.030 0.985 0.346 [1 per cell]
Ge 0.036 0.983 0.853 [1 per cell]
Ge 0.363 0.324 0.309 [1 per cell]
Ge 0.369 0.309 0.817 [1 per cell]
Ge 0.369 0.318 0.518 [1 per cell]
Ge 0.374 0.310 0.015 [1 per cell]
Ge 0.690 0.661 0.185 [1 per cell]
Ge 0.698 0.658 0.683 [1 per cell]
Ge 0.701 0.646 0.973 [1 per cell]
P 0.030 0.690 0.749 [1 per cell]
P 0.036 0.281 0.246 [1 per cell]
P 0.088 0.605 0.413 [1 per cell]
P 0.354 0.043 0.412 [1 per cell]
P 0.405 0.644 0.579 [1 per cell]
P 0.422 0.943 0.079 [1 per cell]
P 0.689 0.370 0.080 [1 per cell]
P 0.695 0.945 0.577 [1 per cell]
P 0.735 0.982 0.248 [1 per cell]
P 0.737 0.275 0.747 [1 per cell]
P 0.980 0.647 0.079 [1 per cell]
P 0.996 0.366 0.578 [1 per cell]
O 0.002 0.808 0.081 [1 per cell]
O 0.020 0.180 0.583 [1 per cell]
O 0.064 0.136 0.907 [1 per cell]
O 0.064 0.179 0.186 [1 per cell]
O 0.068 0.767 0.692 [1 per cell]
O 0.078 0.788 0.409 [1 per cell]
O 0.159 0.364 0.856 [1 per cell]
O 0.166 0.472 0.078 [1 per cell]
O 0.169 0.486 0.356 [1 per cell]
O 0.183 0.028 0.408 [1 per cell]
O 0.184 0.352 0.577 [1 per cell]
O 0.191 0.798 0.909 [1 per cell]
O 0.196 0.502 0.755 [1 per cell]
O 0.201 0.297 0.257 [1 per cell]
O 0.206 0.267 0.977 [1 per cell]
O 0.208 0.520 0.471 [1 per cell]
O 0.213 0.038 0.686 [1 per cell]
O 0.219 0.763 0.182 [1 per cell]
O 0.223 0.803 0.588 [1 per cell]
O 0.230 0.819 0.307 [1 per cell]
O 0.236 0.965 0.079 [1 per cell]
O 0.238 0.938 0.806 [1 per cell]
O 0.317 0.520 0.976 [1 per cell]
O 0.319 0.153 0.474 [1 per cell]
O 0.346 0.165 0.758 [1 per cell]
O 0.357 0.488 0.253 [1 per cell]
O 0.380 0.137 0.358 [1 per cell]
O 0.400 0.482 0.853 [1 per cell]
O 0.405 0.463 0.577 [1 per cell]
O 0.407 0.129 0.077 [1 per cell]
O 0.481 0.671 0.519 [1 per cell]
O 0.509 0.828 0.020 [1 per cell]
O 0.511 0.368 0.077 [1 per cell]
O 0.513 0.130 0.578 [1 per cell]
O 0.516 0.859 0.414 [1 per cell]
O 0.519 0.112 0.859 [1 per cell]
O 0.524 0.801 0.740 [1 per cell]
O 0.527 0.667 0.243 [1 per cell]
O 0.531 0.610 0.637 [1 per cell]
O 0.531 0.855 0.138 [1 per cell]
O 0.532 0.341 0.352 [1 per cell]
O 0.536 0.633 0.921 [1 per cell]
O 0.544 0.141 0.257 [1 per cell]
O 0.547 0.307 0.756 [1 per cell]
O 0.574 0.266 0.474 [1 per cell]
O 0.576 0.158 0.977 [1 per cell]
O 0.660 0.482 0.141 [1 per cell]
O 0.661 0.850 0.633 [1 per cell]
O 0.681 0.833 0.921 [1 per cell]
O 0.682 0.480 0.413 [1 per cell]
O 0.710 0.852 0.516 [1 per cell]
O 0.717 0.464 0.024 [1 per cell]
O 0.721 0.465 0.744 [1 per cell]
O 0.728 0.809 0.241 [1 per cell]
O 0.802 0.182 0.685 [1 per cell]
O 0.807 0.038 0.195 [1 per cell]
O 0.847 0.978 0.585 [1 per cell]
O 0.849 0.949 0.309 [1 per cell]
O 0.853 0.189 0.083 [1 per cell]
O 0.854 0.006 0.905 [1 per cell]
O 0.855 0.125 0.406 [1 per cell]
O 0.865 0.467 0.244 [1 per cell]
O 0.865 0.663 0.742 [1 per cell]
O 0.869 0.182 0.800 [1 per cell]
O 0.878 0.662 0.019 [1 per cell]
O 0.882 0.492 0.921 [1 per cell]
O 0.889 0.615 0.136 [1 per cell]
O 0.893 0.446 0.520 [1 per cell]
O 0.901 0.633 0.417 [1 per cell]
O 0.904 0.478 0.639 [1 per cell]
O 0.991 0.194 0.303 [1 per cell]
O 0.997 0.801 0.809 [1 per cell]

## Properties
**Crystal system**: triclinic
**Final energy**: -0.4727 Ry per atom
**ΔE_f**: -2486 meV/atom